VASP calculation (GGA+U) on a relaxed V3O5F3 crystal.

a = 7.2672 Å, b = 7.2672 Å, c = 5.0158 Å
α = 89.64°, β = 89.64°, γ = 102.64°
Element x y z (fractional)
V  0.3193  0.6791  0.2639
V  0.8289  0.6692  0.2103
V  0.6692  0.8289  0.7103
V  0.6791  0.3193  0.7639
V  0.1711  0.3488  0.7776
V  0.3488  0.1711  0.2776
F  0.8134  0.9055  0.0454
F  0.4308  0.7859  0.9213
F  0.9055  0.8134  0.5454
F  0.1875  0.1037  0.9597
F  0.1037  0.1875  0.4597
F  0.7859  0.4308  0.4213
O  0.0607  0.6729  0.1421
O  0.9364  0.3269  0.8636
O  0.6729  0.0607  0.6421
O  0.2140  0.5500  0.5810
O  0.5702  0.6954  0.3911
O  0.3269  0.9364  0.3636
O  0.5500  0.2140  0.0810
O  0.4310  0.2945  0.5916
O  0.2945  0.4310  0.0916
O  0.6954  0.5702  0.8911

**Symmetry**: No. 9
**Calculated density**: 3.7 Mg/m³
**Offset from the most stable computed form**: 0.0 meV per atom
**Formation enthalpy at 0 K**: -2.571 eV per atom

---

VASP calculation (GGA+U) on a relaxed Li2TiVO4 crystal.

a = 5.2289 Å, b = 5.9880 Å, c = 7.9052 Å
α = 100.92°, β = 109.02°, γ = 90.17°
Element x y z (fractional)
O  0.7280  0.1075  0.0037
O  0.2743  0.1959  0.3332
O  0.2650  0.7250  0.3416
O  0.7261  0.9762  0.3359
O  0.2739  0.0238  0.6641
O  0.2720  0.8925  0.9963
O  0.2636  0.5505  0.6784
O  0.7364  0.4495  0.3216
O  0.2614  0.3690  0.0107
O  0.7350  0.2750  0.6584
O  0.7257  0.8041  0.6668
O  0.7386  0.6310  0.9893
Ti  0.5028  0.1844  0.1650
Ti  0.4972  0.8156  0.8350
Ti  0.5000  0.0000  0.5000
Li  0.0011  0.9154  0.1674
Li  0.9989  0.0846  0.8326
Li  0.0024  0.4258  0.1674
Li  0.9976  0.5742  0.8326
Li  0.0033  0.7468  0.4975
Li  0.9967  0.2532  0.5025
V  0.5000  0.5000  0.5000
V  0.5013  0.3221  0.8351
V  0.4987  0.6779  0.1649

**Symmetry**: No. 2
**Calculated density**: 3.8 Mg/m³
**Offset from the most stable computed form**: 0.0 meV per atom
**Formation enthalpy at 0 K**: -2.752 eV per atom

---

VASP calculation (GGA+U) on a relaxed VSO10 crystal.

a = 9.7201 Å, b = 7.2060 Å, c = 15.4153 Å
α = 69.20°, β = 90.00°, γ = 90.00°
Element x y z (fractional)
O  0.4133  0.0731  0.6442
O  0.7430  0.5871  0.0213
O  0.3866  0.6707  0.9287
O  0.5451  0.4357  0.5692
O  0.4549  0.5643  0.4308
O  0.3017  0.4112  0.7662
O  0.7570  0.5871  0.5213
O  0.9565  0.7626  0.2004
O  0.6963  0.3012  0.4399
O  0.8037  0.3012  0.9399
O  0.0451  0.5643  0.9308
O  0.8866  0.3293  0.5713
O  0.3345  0.9256  0.3586
O  0.6983  0.5888  0.2338
O  0.4646  0.0135  0.2133
O  0.2430  0.4129  0.4787
O  0.4565  0.2374  0.2996
O  0.1983  0.4112  0.2662
O  0.2570  0.4129  0.9787
O  0.5867  0.9269  0.3558
O  0.1134  0.6707  0.4287
O  0.1963  0.6988  0.0601
O  0.7346  0.4233  0.2428
O  0.0867  0.0731  0.1442
O  0.5435  0.7626  0.7004
O  0.6655  0.0744  0.6414
O  0.3037  0.6988  0.5601
O  0.9549  0.4357  0.0692
O  0.8345  0.0744  0.1414
O  0.0435  0.2374  0.7996
O  0.1655  0.9256  0.8586
O  0.8017  0.5888  0.7338
O  0.7654  0.4233  0.7428
O  0.9646  0.9865  0.2867
O  0.5354  0.9865  0.7867
O  0.0354  0.0135  0.7133
O  0.2654  0.5767  0.7572
O  0.6134  0.3293  0.0713
O  0.2346  0.5767  0.2572
O  0.9133  0.9269  0.8558
V  0.2046  0.6748  0.9589
V  0.7954  0.3252  0.0411
V  0.7046  0.3252  0.5411
V  0.2954  0.6748  0.4589
S  0.9625  0.9705  0.1938
S  0.4625  0.0295  0.3062
S  0.5375  0.9705  0.6938
S  0.0375  0.0295  0.8062

**Symmetry**: No. 14
**Calculated density**: 1.6 Mg/m³
**Formation enthalpy at 0 K**: -0.547 eV per atom

---

VASP calculation (GGA+U) on a relaxed MgCrCo5O12 crystal.

a = 5.0009 Å, b = 4.9626 Å, c = 10.0238 Å
α = 93.91°, β = 98.17°, γ = 59.67°
Element x y z (fractional)
O  0.1828  0.0048  0.5921
O  0.3825  0.0225  0.1032
O  0.1507  0.3435  0.3914
O  0.6792  0.3498  0.1034
O  0.8456  0.6800  0.5918
O  0.3298  0.6713  0.9037
O  0.6455  0.9976  0.9039
O  0.4511  0.6664  0.4001
O  0.0561  0.6466  0.1033
O  0.7736  0.0230  0.4009
O  0.9709  0.3567  0.9035
O  0.4771  0.3432  0.5993
Mg  0.4222  0.3414  0.2523
Co  0.8156  0.3437  0.5063
Co  0.4790  0.0127  0.5010
Co  0.1490  0.6740  0.5004
Co  0.6775  0.6743  0.0040
Co  0.3385  0.3411  0.9859
Cr  0.0108  0.0075  0.0034

**Symmetry**: No. 1
**Calculated density**: 4.4 Mg/m³
**Offset from the most stable computed form**: 41.9 meV per atom
**Formation enthalpy at 0 K**: -1.381 eV per atom

---

VASP calculation (GGA+U) on a relaxed Sr6MgW4O18 crystal.

a = 7.5934 Å, b = 7.5934 Å, c = 7.5934 Å
α = 83.66°, β = 83.66°, γ = 83.66°
Element x y z (fractional)
Sr  0.9074  0.5926  0.2500
Sr  0.5926  0.2500  0.9074
Sr  0.4581  0.7500  0.0419
Sr  0.0419  0.4581  0.7500
Sr  0.7500  0.0419  0.4581
Sr  0.2500  0.9074  0.5926
O  0.0856  0.7626  0.8969
O  0.7374  0.4144  0.6031
O  0.4144  0.6031  0.7374
O  0.3907  0.2932  0.5942
O  0.8969  0.0856  0.7626
O  0.9421  0.7500  0.5579
O  0.1093  0.9058  0.2068
O  0.9058  0.2068  0.1093
O  0.4036  0.0964  0.2500
O  0.2500  0.4036  0.0964
O  0.2068  0.1093  0.9058
O  0.6031  0.7374  0.4144
O  0.2932  0.5942  0.3907
O  0.5579  0.9421  0.7500
O  0.5942  0.3907  0.2932
O  0.0964  0.2500  0.4036
O  0.7500  0.5579  0.9421
O  0.7626  0.8969  0.0856
W  0.3440  0.3440  0.3440
W  0.1560  0.1560  0.1560
W  0.5291  0.5291  0.5291
W  0.9709  0.9709  0.9709
Mg  0.7500  0.7500  0.7500

**Symmetry**: No. 155
**Calculated density**: 6.1 Mg/m³
**Offset from the most stable computed form**: 270.0 meV per atom
**Formation enthalpy at 0 K**: -2.515 eV per atom

---

VASP calculation (GGA+U) on a relaxed Mo2C4NO7 crystal.

a = 9.3575 Å, b = 9.6858 Å, c = 11.2417 Å
α = 83.26°, β = 87.73°, γ = 71.18°
Element x y z (fractional)
C  0.6919  0.7622  0.0779
C  0.5117  0.6773  0.7977
C  0.4883  0.3227  0.2023
C  0.3281  0.3962  0.5028
C  0.4411  0.6588  0.8964
C  0.5589  0.3412  0.1036
C  0.1406  0.2322  0.8534
C  0.3728  0.1573  0.8210
C  0.6719  0.6038  0.4972
C  0.5809  0.6568  0.6995
C  0.6272  0.8427  0.1790
C  0.2458  0.1507  0.7671
C  0.4191  0.3432  0.3005
C  0.8594  0.7678  0.1466
C  0.7542  0.8493  0.2329
C  0.3081  0.2378  0.9221
O  0.9126  0.0606  0.6101
O  0.2571  0.5046  0.5531
O  0.2109  0.1033  0.6727
O  0.1831  0.1123  0.2371
O  0.6675  0.2668  0.6274
O  0.7891  0.8967  0.3273
O  0.0522  0.2105  0.4522
O  0.2037  0.8498  0.1461
O  0.4805  0.8892  0.2039
O  0.6243  0.3568  0.0150
O  0.5195  0.1108  0.7961
O  0.7963  0.1502  0.8539
O  0.1026  0.8814  0.8410
O  0.8169  0.8877  0.7629
O  0.9220  0.3721  0.6522
O  0.7429  0.4954  0.4469
O  0.6424  0.0069  0.5484
O  0.3576  0.9931  0.4516
O  0.1950  0.8180  0.6101
O  0.8050  0.1820  0.3899
O  0.9478  0.7895  0.5478
O  0.8974  0.1186  0.1590
O  0.0874  0.9394  0.3899
O  0.0780  0.6279  0.3478
O  0.0901  0.6190  0.7814
O  0.3757  0.6432  0.9850
O  0.3325  0.7332  0.3726
O  0.9099  0.3810  0.2186
Mo  0.1878  0.0165  0.5259
Mo  0.8122  0.9835  0.4741
Mo  0.8608  0.2829  0.5529
Mo  0.7171  0.0945  0.7430
Mo  0.0363  0.8032  0.7344
Mo  0.1393  0.7171  0.4471
Mo  0.2829  0.9055  0.2570
Mo  0.9637  0.1968  0.2656
N  0.8433  0.7139  0.0472
N  0.1567  0.2861  0.9528
N  0.3461  0.3690  0.3935
N  0.6539  0.6310  0.6065

**Symmetry**: No. 2
**Calculated density**: 2.5 Mg/m³
**Offset from the most stable computed form**: 0.0 meV per atom
**Formation enthalpy at 0 K**: -0.773 eV per atom

---

VASP calculation (GGA+U) on a relaxed LaCrNiO6 crystal.

a = 5.3310 Å, b = 5.5846 Å, c = 5.1441 Å
α = 63.38°, β = 118.58°, γ = 86.47°
Element x y z (fractional)
O  0.2143  0.2964  0.9659
O  0.7946  0.6869  0.0845
O  0.2976  0.2500  0.4844
O  0.7154  0.7443  0.5236
O  0.7761  0.2265  0.0336
O  0.2147  0.7773  0.9599
Cr  0.9977  0.5662  0.9608
Ni  0.4992  0.0151  0.9955
La  0.7504  0.2787  0.4922

**Symmetry**: No. 1
**Calculated density**: 5.1 Mg/m³
**Offset from the most stable computed form**: 0.0 meV per atom
**Formation enthalpy at 0 K**: -1.906 eV per atom

---

VASP calculation (GGA+U) on a relaxed Li3Fe8B8O24 crystal.

a = 5.3043 Å, b = 9.0319 Å, c = 11.3814 Å
α = 113.18°, β = 102.62°, γ = 89.39°
Element x y z (fractional)
B  0.4032  0.3973  0.1276
B  0.8604  0.5227  0.3842
B  0.1050  0.1034  0.8706
B  0.5910  0.6061  0.8722
B  0.6551  0.9840  0.6319
B  0.1404  0.4890  0.6246
B  0.8856  0.8920  0.1273
B  0.3551  0.0195  0.3805
O  0.8683  0.1314  0.9080
O  0.0150  0.3623  0.6275
O  0.5272  0.8550  0.6383
O  0.0340  0.6400  0.6601
O  0.4020  0.6589  0.9406
O  0.6128  0.3482  0.0690
O  0.9799  0.3801  0.3424
O  0.4595  0.1597  0.3861
O  0.5572  0.1352  0.6716
O  0.3806  0.4772  0.5880
O  0.6819  0.4569  0.8456
O  0.4766  0.8756  0.3393
O  0.1288  0.0174  0.4225
O  0.6911  0.7104  0.8237
O  0.7589  0.0114  0.1018
O  0.1193  0.8517  0.0916
O  0.2216  0.2139  0.8371
O  0.8822  0.9620  0.5868
O  0.3053  0.2958  0.1769
O  0.2203  0.9630  0.8601
O  0.2996  0.5384  0.1393
O  0.6329  0.5218  0.4303
O  0.7819  0.7974  0.1810
O  0.9595  0.6616  0.3873
Fe  0.0914  0.7745  0.8864
Fe  0.3493  0.3488  0.3670
Fe  0.8525  0.8552  0.3775
Fe  0.9108  0.2260  0.1320
Fe  0.1491  0.1580  0.6259
Fe  0.5949  0.2751  0.8800
Fe  0.4031  0.7312  0.1336
Fe  0.6504  0.6494  0.6238
Li  0.1652  0.8383  0.6529
Li  0.6024  0.9503  0.9138
Li  0.6739  0.3355  0.6546

**Symmetry**: No. 1
**Calculated density**: 3.2 Mg/m³
**Offset from the most stable computed form**: 8.4 meV per atom
**Formation enthalpy at 0 K**: -2.247 eV per atom

---

VASP calculation (GGA+U) on a relaxed FeH4S2O10 crystal.

a = 6.5456 Å, b = 7.4715 Å, c = 10.4791 Å
α = 94.97°, β = 107.94°, γ = 113.15°
Element x y z (fractional)
O  0.7455  0.6042  0.4412
O  0.2354  0.4104  0.3242
O  0.6691  0.8415  0.5714
O  0.7647  0.5896  0.6758
O  0.5032  0.2443  0.2318
O  0.5159  0.2106  0.7349
O  0.2559  0.4336  0.0557
O  0.9298  0.1407  0.3662
O  0.7441  0.5664  0.9443
O  0.2324  0.3839  0.8178
O  0.3309  0.1585  0.4286
O  0.2953  0.1479  0.9548
O  0.0872  0.8346  0.1238
O  0.7676  0.6161  0.1822
O  0.9128  0.1654  0.8762
O  0.0702  0.8593  0.6338
O  0.4841  0.7894  0.2651
O  0.7047  0.8521  0.0452
O  0.4968  0.7557  0.7682
O  0.2545  0.3958  0.5588
H  0.5962  0.8406  0.8634
H  0.3395  0.8012  0.2088
H  0.4395  0.1785  0.2995
H  0.5605  0.8215  0.7005
H  0.4038  0.1594  0.1366
H  0.3717  0.0829  0.7119
H  0.6283  0.9171  0.2881
H  0.6605  0.1988  0.7912
Fe  0.5024  0.4803  0.7510
Fe  0.4976  0.5197  0.2490
S  0.1741  0.2757  0.9263
S  0.8124  0.7303  0.5815
S  0.1876  0.2697  0.4185
S  0.8259  0.7243  0.0737

**Symmetry**: No. 2
**Calculated density**: 2.2 Mg/m³
**Formation enthalpy at 0 K**: -1.522 eV per atom

---

VASP calculation (GGA+U) on a relaxed CaMo2O6 crystal.

a = 5.5658 Å, b = 5.4609 Å, c = 9.4558 Å
α = 55.15°, β = 90.00°, γ = 90.00°
Element x y z (fractional)
O  0.7316  0.6861  0.2560
O  0.5217  0.8202  0.4692
O  0.4681  0.2492  0.5325
O  0.2309  0.3344  0.2447
O  0.0479  0.7480  0.4562
O  0.9521  0.7480  0.9562
O  0.5319  0.2492  0.0325
O  0.9640  0.1549  0.5426
O  0.0360  0.1549  0.0426
O  0.2684  0.6861  0.7560
O  0.7691  0.3344  0.7447
O  0.4783  0.8202  0.9692
Mo  0.2469  0.0007  0.4991
Mo  0.2414  0.4985  0.9982
Mo  0.7531  0.0007  0.9991
Mo  0.7586  0.4985  0.4982
Ca  0.7018  0.7593  0.7519
Ca  0.2982  0.7593  0.2519

**Symmetry**: No. 7
**Calculated density**: 4.6 Mg/m³
**Offset from the most stable computed form**: 36.6 meV per atom
**Formation enthalpy at 0 K**: -2.232 eV per atom

---

What is the formation enthalpy at 0 K in the fifth record? -2.515 eV per atom

---

Number 3 is which compound? VSO10

---

What did the sixth record say?
VASP calculation (GGA+U) on a relaxed Mo2C4NO7 crystal.

a = 9.3575 Å, b = 9.6858 Å, c = 11.2417 Å
α = 83.26°, β = 87.73°, γ = 71.18°
Element x y z (fractional)
C  0.6919  0.7622  0.0779
C  0.5117  0.6773  0.7977
C  0.4883  0.3227  0.2023
C  0.3281  0.3962  0.5028
C  0.4411  0.6588  0.8964
C  0.5589  0.3412  0.1036
C  0.1406  0.2322  0.8534
C  0.3728  0.1573  0.8210
C  0.6719  0.6038  0.4972
C  0.5809  0.6568  0.6995
C  0.6272  0.8427  0.1790
C  0.2458  0.1507  0.7671
C  0.4191  0.3432  0.3005
C  0.8594  0.7678  0.1466
C  0.7542  0.8493  0.2329
C  0.3081  0.2378  0.9221
O  0.9126  0.0606  0.6101
O  0.2571  0.5046  0.5531
O  0.2109  0.1033  0.6727
O  0.1831  0.1123  0.2371
O  0.6675  0.2668  0.6274
O  0.7891  0.8967  0.3273
O  0.0522  0.2105  0.4522
O  0.2037  0.8498  0.1461
O  0.4805  0.8892  0.2039
O  0.6243  0.3568  0.0150
O  0.5195  0.1108  0.7961
O  0.7963  0.1502  0.8539
O  0.1026  0.8814  0.8410
O  0.8169  0.8877  0.7629
O  0.9220  0.3721  0.6522
O  0.7429  0.4954  0.4469
O  0.6424  0.0069  0.5484
O  0.3576  0.9931  0.4516
O  0.1950  0.8180  0.6101
O  0.8050  0.1820  0.3899
O  0.9478  0.7895  0.5478
O  0.8974  0.1186  0.1590
O  0.0874  0.9394  0.3899
O  0.0780  0.6279  0.3478
O  0.0901  0.6190  0.7814
O  0.3757  0.6432  0.9850
O  0.3325  0.7332  0.3726
O  0.9099  0.3810  0.2186
Mo  0.1878  0.0165  0.5259
Mo  0.8122  0.9835  0.4741
Mo  0.8608  0.2829  0.5529
Mo  0.7171  0.0945  0.7430
Mo  0.0363  0.8032  0.7344
Mo  0.1393  0.7171  0.4471
Mo  0.2829  0.9055  0.2570
Mo  0.9637  0.1968  0.2656
N  0.8433  0.7139  0.0472
N  0.1567  0.2861  0.9528
N  0.3461  0.3690  0.3935
N  0.6539  0.6310  0.6065

**Symmetry**: No. 2
**Calculated density**: 2.5 Mg/m³
**Offset from the most stable computed form**: 0.0 meV per atom
**Formation enthalpy at 0 K**: -0.773 eV per atom